# Ba2ZrO6 | the Materials Project | GGA-PBE | relaxed
# E (MP2020) = -7.075 eV/atom
# Size of the total moment = 4.00 μB/cell
# Crystal system = tetragonal
# Calculated formation energy = -2.401 eV per atom
# ρ = 5.16 g/cm³
data_Ba2ZrO6
_space_group_name_H-M_alt 'P 1'
_space_group_IT_number 1
_cell_length_a 4.2112
_cell_length_b 4.2112
_cell_length_c 8.3828
_cell_angle_alpha 90.00
_cell_angle_beta 90.00
_cell_angle_gamma 90.00
loop_
_space_group_symop_operation_xyz
'x,y,z'
loop_
_atom_site_label
_atom_site_fract_x
_atom_site_fract_y
_atom_site_fract_z
_atom_site_occupancy
Ba1 0.0000 0.0000 0.2251 1
Ba2 0.0000 0.0000 0.7749 1
Zr1 0.5000 0.5000 0.5000 1
O1 0.0000 0.5000 0.0000 1
O2 0.0000 0.5000 0.5000 1
O3 0.5000 0.0000 0.0000 1
O4 0.5000 0.0000 0.5000 1
O5 0.5000 0.5000 0.2493 1
O6 0.5000 0.5000 0.7507 1